Crystalline KSi2H14C4N at its relaxed geometry. Source: Materials Project, functional PBE.

Cell lengths 6.1403, 15.6560, 11.7637 Å; angles 90.00, 90.00, 90.00 degrees
Atoms (fractional coordinates):
H  0.8711  0.1516  0.8697
H  0.9792  0.0715  0.1013
H  0.2930  0.0742  0.2823
K  0.6570  0.2500  0.3485
C  0.3060  0.0681  0.3753
H  0.4792  0.0715  0.3987
H  0.2499  0.9967  0.8977
H  0.5208  0.5715  0.6013
H  0.4061  0.3778  0.0597
C  0.2018  0.3653  0.6101
Si  0.1426  0.1514  0.4541
H  0.9792  0.4285  0.1013
H  0.5208  0.9285  0.6013
H  0.3205  0.5668  0.1313
H  0.6289  0.6516  0.3697
H  0.9056  0.6722  0.3344
C  0.7018  0.1347  0.8899
C  0.2982  0.6347  0.1101
H  0.4792  0.4285  0.3987
Si  0.6426  0.3486  0.0459
Si  0.3574  0.8486  0.9541
H  0.1289  0.6516  0.1303
H  0.9061  0.1222  0.4403
H  0.4056  0.6722  0.1656
C  0.1940  0.5681  0.8753
H  0.0208  0.5715  0.8987
H  0.7499  0.9967  0.6023
H  0.7501  0.0033  0.1023
H  0.2070  0.9258  0.7823
Si  0.8574  0.8486  0.5459
H  0.7501  0.4967  0.1023
H  0.5939  0.6222  0.9403
H  0.1289  0.8484  0.1303
H  0.7930  0.0742  0.2177
H  0.5939  0.8778  0.9403
K  0.3430  0.7500  0.6515
H  0.4056  0.8278  0.1656
H  0.8205  0.9332  0.3687
H  0.3711  0.1516  0.6303
H  0.0939  0.8778  0.5597
H  0.6289  0.8484  0.3697
N  0.1823  0.2500  0.3977
H  0.2501  0.4967  0.3977
H  0.0944  0.3278  0.6656
H  0.7070  0.9258  0.7177
H  0.6795  0.4332  0.8687
H  0.3205  0.9332  0.1313
H  0.7930  0.4258  0.2177
C  0.3060  0.4319  0.3753
C  0.7982  0.8653  0.3899
H  0.1795  0.4332  0.6313
N  0.6823  0.2500  0.1023
N  0.3177  0.7500  0.8977
Si  0.8574  0.6514  0.5459
H  0.9061  0.3778  0.4403
C  0.7018  0.3653  0.8899
H  0.7499  0.5033  0.6023
K  0.8430  0.7500  0.8485
H  0.2501  0.0033  0.3977
Si  0.1426  0.3486  0.4541
H  0.2070  0.5742  0.7823
H  0.8205  0.5668  0.3687
C  0.1940  0.9319  0.8753
H  0.5944  0.3278  0.8344
N  0.8177  0.7500  0.6023
C  0.6940  0.9319  0.6247
H  0.5944  0.1722  0.8344
C  0.2982  0.8653  0.1101
C  0.2018  0.1347  0.6101
H  0.8711  0.3484  0.8697
H  0.7070  0.5742  0.7177
C  0.7982  0.6347  0.3899
Si  0.6426  0.1514  0.0459
C  0.6940  0.5681  0.6247
H  0.6795  0.0668  0.8687
C  0.8060  0.4319  0.1247
H  0.0939  0.6222  0.5597
H  0.9056  0.8278  0.3344
H  0.2930  0.4258  0.2823
K  0.1570  0.2500  0.1515
H  0.2499  0.5033  0.8977
H  0.4061  0.1222  0.0597
H  0.3711  0.3484  0.6303
H  0.0944  0.1722  0.6656
Si  0.3574  0.6514  0.9541
H  0.1795  0.0668  0.6313
C  0.8060  0.0681  0.1247
H  0.0208  0.9285  0.8987

Calculated values
The calculation puts the energy relative to the elements at -287 meV/atom. The total energy is -5.03 eV per atom. The value obtained for the spin magnetization is 0.081 Bohr magnetons per cell.

Crystalline RbNiC2BrN2 at its relaxed geometry. Source: Materials Project, functional PBE.

Cell lengths 7.8824, 7.8824, 7.8824 Å; angles 126.50, 126.50, 79.06 degrees
Atoms (fractional coordinates):
N  0.6996  0.3004  0.0000
C  0.1836  0.8164  0.0000
Br  0.2767  0.2767  0.0000
N  0.3004  0.6996  0.0000
Ni  0.5000  0.5000  0.0000
C  0.8164  0.1836  0.0000
N  0.6996  0.6996  0.3992
Ni  0.0000  0.0000  0.0000
N  0.3004  0.3004  0.6008
Rb  0.7500  0.2500  0.5000
C  0.8164  0.8164  0.6328
C  0.1836  0.1836  0.3672
Br  0.7233  0.7233  0.0000
Rb  0.2500  0.7500  0.5000

Calculated values
The calculation puts the energy relative to the elements at -354 meV/atom. The total energy is -6.47 eV per atom. The value obtained for the spin magnetization is 1.999 Bohr magnetons per cell.

Crystalline TaAgN2 at its relaxed geometry. Source: Materials Project, functional PBE.

Cell lengths 5.9237, 11.8674, 14.4833 Å; angles 90.00, 90.00, 90.00 degrees
Atoms (fractional coordinates):
Ta  0.8336  0.5314  0.3150
Ta  0.1664  0.0314  0.1850
N  0.8990  0.7674  0.0454
Ag  0.3087  0.7711  0.3037
Ta  0.2746  0.2848  0.0600
N  0.1817  0.3062  0.6654
Ag  0.7875  0.4978  0.0664
Ta  0.2254  0.7848  0.0600
Ta  0.6664  0.0314  0.3150
N  0.8990  0.7326  0.5454
N  0.3183  0.8062  0.6654
Ag  0.6913  0.2289  0.6963
Ta  0.3336  0.5314  0.1850
Ta  0.1664  0.4686  0.6850
N  0.3504  0.9899  0.2919
N  0.6817  0.1938  0.3346
N  0.3990  0.7326  0.9546
Ta  0.8336  0.9686  0.8150
Ta  0.3336  0.9686  0.6850
Ag  0.2875  0.0022  0.9336
N  0.1496  0.0101  0.7919
Ag  0.7125  0.9978  0.0664
Ag  0.3087  0.7289  0.8037
N  0.1010  0.2674  0.4546
N  0.3990  0.7674  0.4546
Ag  0.7125  0.5022  0.5664
Ag  0.6913  0.2711  0.1963
Ag  0.8087  0.7289  0.6963
N  0.7130  0.4461  0.4192
N  0.6817  0.3062  0.8346
N  0.6010  0.2326  0.5454
N  0.7870  0.5539  0.9192
N  0.6496  0.0101  0.7081
Ta  0.2746  0.2152  0.5600
Ag  0.7875  0.0022  0.5664
Ag  0.2875  0.4978  0.4336
N  0.6010  0.2674  0.0454
Ta  0.7254  0.7848  0.4400
N  0.1010  0.2326  0.9546
Ta  0.2254  0.7152  0.5600
N  0.7130  0.0539  0.9192
N  0.1817  0.1938  0.1654
Ag  0.1913  0.2289  0.8037
N  0.3183  0.6938  0.1654
Ta  0.7746  0.2848  0.4400
N  0.8183  0.6938  0.3346
Ta  0.7254  0.7152  0.9400
N  0.2130  0.4461  0.0808
Ta  0.7746  0.2152  0.9400
N  0.7870  0.9461  0.4192
Ag  0.8087  0.7711  0.1963
Ag  0.1913  0.2711  0.3037
N  0.1496  0.4899  0.2919
N  0.2870  0.5539  0.5808
N  0.8504  0.9899  0.2081
Ag  0.2125  0.9978  0.4336
N  0.2870  0.9461  0.0808
N  0.6496  0.4899  0.2081
Ta  0.6664  0.4686  0.8150
Ag  0.2125  0.5022  0.9336
N  0.8504  0.5101  0.7081
N  0.3504  0.5101  0.7919
N  0.2130  0.0539  0.5808
N  0.8183  0.8062  0.8346

Calculated values
The calculation puts the energy relative to the elements at -558 meV/atom. The total energy is -8.22 eV per atom. The value obtained for the spin magnetization is 0.019 Bohr magnetons per cell.

Copy entry 2 word for word.
Crystalline RbNiC2BrN2 at its relaxed geometry. Source: Materials Project, functional PBE.

Cell lengths 7.8824, 7.8824, 7.8824 Å; angles 126.50, 126.50, 79.06 degrees
Atoms (fractional coordinates):
N  0.6996  0.3004  0.0000
C  0.1836  0.8164  0.0000
Br  0.2767  0.2767  0.0000
N  0.3004  0.6996  0.0000
Ni  0.5000  0.5000  0.0000
C  0.8164  0.1836  0.0000
N  0.6996  0.6996  0.3992
Ni  0.0000  0.0000  0.0000
N  0.3004  0.3004  0.6008
Rb  0.7500  0.2500  0.5000
C  0.8164  0.8164  0.6328
C  0.1836  0.1836  0.3672
Br  0.7233  0.7233  0.0000
Rb  0.2500  0.7500  0.5000

Calculated values
The calculation puts the energy relative to the elements at -354 meV/atom. The total energy is -6.47 eV per atom. The value obtained for the spin magnetization is 1.999 Bohr magnetons per cell.